{"formula": "HgMo6Se4S4", "functional": "PBE", "state": "relaxed", "cell": [[6.650, 0.000, 0.000], [-0.223, 6.720, 0.000], [-0.217, -0.203, 6.746]], "species": ["Hg", "Mo", "Mo", "Mo", "Mo", "Mo", "Mo", "Se", "Se", "Se", "Se", "S", "S", "S", "S"], "frac_coords": [[0.000, 0.000, 0.000], [0.222, 0.405, 0.564], [0.412, 0.553, 0.235], [0.441, 0.771, 0.591], [0.560, 0.229, 0.419], [0.589, 0.437, 0.780], [0.781, 0.584, 0.446], [0.224, 0.223, 0.234], [0.259, 0.620, 0.880], [0.627, 0.874, 0.265], [0.775, 0.769, 0.774], [0.133, 0.712, 0.391], [0.387, 0.128, 0.721], [0.721, 0.385, 0.137], [0.868, 0.279, 0.622]], "e_form_mev_per_atom": -648.0}